(i)
! PBE with a Hubbard U Mn3P4O16, relaxed; values from VASP
! - density (Mg/m³) = 2.767
&SYSTEM
  ibrav = 0, nat = 46, ntyp = 3
/
ATOMIC_SPECIES
Mn 54.94 Mn.upf
P 30.97 P.upf
O 16.00 O.upf
CELL_PARAMETERS angstrom
-5.998 -1.042 1.706
-0.675 -9.309 3.611
2.284 3.387 10.095
ATOMIC_POSITIONS angstrom
Mn -1.824 -2.392 4.269
Mn -2.564 -4.572 11.143
Mn -0.337 -4.654 1.806
Mn -0.455 -0.661 9.247
Mn -3.933 -6.302 6.165
Mn -2.194 -3.482 7.706
P -1.971 -6.484 8.662
P -2.417 -0.479 6.751
P -3.226 -2.000 10.404
P -1.163 -4.963 5.008
P -1.595 -1.832 1.141
P 0.205 -3.230 9.992
P -4.593 -3.734 5.420
P -2.793 -5.131 14.271
O -0.305 1.056 10.134
O -3.910 -4.320 6.730
O -4.083 -8.020 5.278
O -2.031 -0.737 5.253
O -2.358 -6.227 10.159
O -4.466 -4.958 11.386
O -3.409 0.676 6.816
O -1.471 -4.314 3.591
O -3.978 -4.123 14.170
O -4.745 -5.158 4.689
O -0.669 -4.159 10.821
O -1.396 -5.170 8.062
O -2.339 -1.775 2.522
O -2.992 -1.794 7.350
O -0.478 -2.644 8.682
O 0.078 -2.005 4.026
O -3.029 -3.366 9.575
O -3.719 -2.805 4.591
O -1.359 -3.598 5.837
O -2.049 -5.189 12.890
O -1.130 -0.070 7.553
O -5.745 -6.535 6.892
O -3.258 -6.894 7.859
O -1.132 -0.425 0.800
O 0.357 -1.805 10.723
O -0.411 -2.841 1.242
O 1.357 -0.429 8.520
O -2.168 -6.054 5.358
O -0.980 -7.640 8.596
O -3.257 -6.538 14.613
O -2.220 -0.910 10.054
O -2.917 -2.650 11.821


(ii)
! PBE with a Hubbard U Mn3P4O16, relaxed; values from VASP
! - density (Mg/m³) = 3.170
&SYSTEM
  ibrav = 0, nat = 46, ntyp = 3
/
ATOMIC_SPECIES
Mn 54.94 Mn.upf
P 30.97 P.upf
O 16.00 O.upf
CELL_PARAMETERS angstrom
7.591 0.000 -0.442
0.000 7.490 0.000
0.017 0.000 10.035
ATOMIC_POSITIONS angstrom
Mn 7.375 0.116 2.082
Mn 7.482 7.317 7.114
Mn 3.925 3.572 4.766
Mn 4.032 3.861 9.798
Mn 3.082 6.445 4.283
Mn 0.734 2.700 8.040
P 1.449 1.280 0.157
P 2.411 5.291 7.293
P 2.351 5.025 2.131
P 5.339 2.221 7.377
P 5.317 2.436 2.277
P 6.090 6.181 9.604
P 1.406 1.546 5.030
P 6.069 5.966 4.503
O 4.169 2.769 1.247
O 7.221 6.514 0.598
O 7.131 6.413 5.546
O 6.764 6.130 3.139
O 6.404 3.429 2.331
O 6.885 6.006 8.221
O 0.335 1.074 8.995
O 0.284 1.159 4.077
O 0.759 1.534 6.496
O 0.653 1.441 1.464
O 1.325 4.192 7.217
O 1.249 4.061 2.144
O 1.727 6.638 7.558
O 1.850 2.748 9.566
O 1.967 6.493 2.757
O 2.090 2.893 4.765
O 2.491 0.447 5.105
O 3.057 5.279 5.827
O 2.551 0.316 0.143
O 5.662 4.673 -0.120
O 3.533 4.904 8.246
O 3.481 4.819 3.327
O 4.277 2.668 6.334
O 3.147 5.186 0.824
O 4.644 2.385 8.742
O 5.004 7.174 9.550
O 4.523 2.261 3.659
O 4.833 6.931 4.543
O 5.600 4.529 4.842
O 5.807 0.784 7.039
O 5.729 0.928 1.966
O 6.574 3.186 7.337


(iii)
! PBE with a Hubbard U Mn3P4O16, relaxed; values from VASP
! - density (Mg/m³) = 3.208
&SYSTEM
  ibrav = 0, nat = 69, ntyp = 3
/
ATOMIC_SPECIES
Mn 54.94 Mn.upf
P 30.97 P.upf
O 16.00 O.upf
CELL_PARAMETERS angstrom
-11.570 -2.870 4.915
-2.555 -1.070 -6.963
1.679 -8.587 0.755
ATOMIC_POSITIONS angstrom
Mn -9.865 -8.756 1.090
Mn -9.991 -5.057 1.674
Mn -11.854 -4.802 -2.626
Mn -6.538 -10.120 -2.760
Mn -4.890 -5.622 2.756
Mn -7.013 -2.008 -0.786
Mn -3.111 -8.814 -5.449
Mn -1.490 -4.314 0.072
Mn -2.717 -3.846 -2.644
P -4.380 -6.253 -3.869
P -4.794 -4.146 -0.020
P -3.636 -8.190 1.177
P -4.919 -1.713 -3.426
P -8.726 -4.285 -2.357
P -7.674 -8.364 -1.077
P -7.919 -6.403 2.736
P -7.507 -10.722 2.252
P -12.121 -6.606 0.014
P -0.976 -1.566 -1.106
P -11.598 -10.907 -0.432
P -0.399 -6.097 -1.608
O -12.812 -3.799 -1.447
O -10.506 -8.722 2.877
O -11.038 -4.338 3.309
O -11.432 -7.912 0.441
O -11.748 -10.009 -1.630
O -10.601 -10.418 0.682
O -11.457 -5.388 0.680
O -12.123 -6.380 -1.516
O -7.445 -10.851 3.799
O -2.030 -3.800 -4.388
O -1.480 -8.188 -4.771
O -1.896 -2.115 -2.213
O -1.094 -4.599 -1.797
O -0.967 -2.558 0.102
O -1.112 -7.219 -2.209
O 0.334 -8.753 0.152
O -0.526 -5.983 0.023
O -4.036 -6.740 1.514
O -4.391 -5.361 -5.138
O -3.399 -5.607 -2.867
O -4.356 -3.146 -3.119
O -3.981 -7.702 -4.211
O -2.646 -9.172 -1.932
O -3.255 -4.006 -0.592
O -2.190 -8.169 0.635
O -5.375 -2.717 -0.319
O -5.822 -6.284 -3.319
O -4.781 -10.421 -2.104
O -5.384 -5.283 -0.749
O -7.885 -7.246 3.942
O -4.722 -4.196 1.552
O -4.627 -8.836 0.183
O -3.629 -9.072 2.453
O -8.708 -3.292 -3.566
O -7.807 -3.742 -1.237
O -7.510 -8.461 -2.708
O -8.332 -5.683 -2.864
O -7.005 -7.219 -0.459
O -6.943 -9.838 -0.891
O -6.554 -6.194 2.047
O -6.036 -10.624 1.702
O -10.194 -4.396 -1.830
O -9.138 -8.618 -0.664
O -8.521 -4.877 2.917
O -9.871 -3.376 0.887
O -8.231 -9.446 1.772
O -9.060 -6.777 1.635
O -4.960 -1.655 -4.999


(iv)
! PBE with a Hubbard U Mn3P4O16, relaxed; values from VASP
! - density (Mg/m³) = 2.804
&SYSTEM
  ibrav = 0, nat = 46, ntyp = 3
/
ATOMIC_SPECIES
Mn 54.94 Mn.upf
P 30.97 P.upf
O 16.00 O.upf
CELL_PARAMETERS angstrom
-5.592 -5.690 -2.067
9.705 -7.726 -4.988
1.295 -1.901 5.464
ATOMIC_POSITIONS angstrom
Mn 4.107 -6.340 -2.352
Mn -2.984 -5.132 -0.102
Mn 5.005 -11.696 -0.615
Mn 1.204 -9.060 0.991
Mn 8.332 -9.978 -1.639
Mn 1.912 -5.257 1.313
P 1.140 -2.127 1.147
P 4.346 -8.433 0.130
P 4.314 -12.970 -2.796
P -1.265 -5.467 2.539
P 1.138 -7.092 -1.458
P 1.132 -10.259 -4.191
P 4.124 -5.195 2.711
P 6.708 -9.731 -4.451
O 7.012 -9.378 -2.975
O 5.042 -12.798 -4.151
O -2.327 -3.384 0.248
O -1.997 -5.942 1.260
O 1.857 -10.890 0.638
O 0.059 -6.828 -2.536
O 0.314 -1.452 0.054
O 2.928 -8.193 0.683
O 7.863 -11.845 -1.976
O 0.234 -5.502 2.251
O 2.487 -7.320 -2.207
O 4.612 -9.803 -0.489
O -3.180 -6.967 -0.670
O 8.666 -8.146 -0.992
O 1.248 -5.957 -0.429
O 5.265 -13.389 -1.616
O 3.458 -4.546 -2.094
O 2.610 -5.033 3.102
O 4.753 -7.370 -0.930
O 0.387 -2.344 2.461
O 1.113 -10.262 -2.664
O -0.665 -9.670 1.133
O 5.944 -5.811 -2.627
O 1.602 -3.483 0.555
O 3.885 -11.585 -2.188
O 5.205 -9.757 -4.764
O 0.683 -8.390 -0.729
O -2.855 -4.718 -1.922
O 5.398 -8.212 1.245
O 3.888 -5.345 1.164
O 8.672 -10.505 0.174
O 2.616 -10.451 -4.600


Going by the energies, (i) is most stable and the next is 25 meV per atom up.


(i)
! PBE with a Hubbard U Mn4P3O12, relaxed; values from VASP
! - density (Mg/m³) = 3.486
&SYSTEM
  ibrav = 0, nat = 76, ntyp = 3
/
ATOMIC_SPECIES
Mn 54.94 Mn.upf
P 30.97 P.upf
O 16.00 O.upf
CELL_PARAMETERS angstrom
6.320 0.000 0.000
0.000 9.999 0.000
0.000 0.000 15.220
ATOMIC_POSITIONS angstrom
Mn 5.404 5.661 5.809
Mn 5.404 5.661 1.801
Mn 5.270 1.599 6.042
Mn 5.270 1.599 1.567
Mn 4.209 6.598 13.652
Mn 4.209 6.598 9.177
Mn 4.076 0.661 13.419
Mn 4.076 0.661 9.411
Mn 2.244 9.337 5.809
Mn 2.244 9.337 1.801
Mn 2.110 3.400 6.042
Mn 2.110 3.400 1.567
Mn 1.050 8.400 13.652
Mn 1.050 8.400 9.177
Mn 0.916 4.338 13.419
Mn 0.916 4.338 9.411
P 0.078 4.026 3.805
P 0.934 1.350 8.633
P 0.934 1.350 14.197
P 2.226 6.349 1.023
P 2.226 6.349 6.587
P 3.082 9.025 11.415
P 3.238 0.974 3.805
P 4.094 3.649 8.633
P 4.094 3.649 14.197
P 5.386 8.649 1.023
P 5.386 8.649 6.587
P 6.241 5.973 11.415
O 5.659 7.891 7.931
O 5.659 7.891 14.898
O 5.748 3.540 2.471
O 5.285 4.672 14.309
O 5.285 4.672 8.520
O 5.078 7.592 5.523
O 5.078 7.592 2.086
O 4.730 6.271 11.415
O 4.749 1.272 3.805
O 4.402 2.593 13.133
O 4.402 2.593 9.696
O 4.194 9.671 6.699
O 6.076 0.402 13.801
O 6.076 0.402 9.028
O 6.071 5.553 3.805
O 5.748 3.540 5.139
O 0.244 9.597 1.419
O 0.244 9.597 6.191
O 0.248 4.446 11.415
O 0.571 6.459 10.081
O 0.571 6.459 12.749
O 0.660 2.108 0.322
O 0.660 2.108 7.288
O 1.034 5.327 0.910
O 1.034 5.327 6.699
O 1.242 2.406 9.696
O 1.242 2.406 13.133
O 1.589 3.727 3.805
O 1.570 8.727 11.415
O 4.194 9.671 0.910
O 1.918 7.406 5.523
O 2.125 0.327 8.520
O 2.125 0.327 14.309
O 2.500 7.107 7.931
O 2.500 7.107 14.898
O 2.588 1.460 2.471
O 2.588 1.460 5.139
O 2.911 9.445 3.805
O 2.916 4.597 9.028
O 2.916 4.597 13.801
O 3.403 5.401 1.419
O 3.403 5.401 6.191
O 3.408 0.554 11.415
O 3.731 8.539 10.081
O 3.731 8.539 12.749
O 3.820 2.892 0.322
O 3.820 2.892 7.288
O 1.918 7.406 2.086


(ii)
! PBE with a Hubbard U Mn4P3O12, relaxed; values from VASP
! - density (Mg/m³) = 3.730
&SYSTEM
  ibrav = 0, nat = 38, ntyp = 3
/
ATOMIC_SPECIES
Mn 54.94 Mn.upf
P 30.97 P.upf
O 16.00 O.upf
CELL_PARAMETERS angstrom
-3.387 3.387 9.795
3.387 -3.387 9.795
3.387 3.387 -9.795
ATOMIC_POSITIONS angstrom
Mn 0.000 0.000 15.074
Mn 1.693 1.702 -2.449
Mn 5.071 1.693 2.449
Mn 0.000 0.000 4.516
Mn -1.684 1.693 12.243
Mn 0.000 3.387 9.413
Mn 0.000 3.387 0.382
Mn 1.693 1.684 7.346
P 0.000 0.000 0.000
P 0.000 3.387 4.897
P 1.693 4.440 -2.449
P 1.053 1.693 12.243
P 1.693 -1.053 7.346
P 2.333 1.693 2.449
O 2.923 -1.893 6.923
O 1.363 3.430 -1.284
O 0.043 2.024 11.079
O 3.851 1.494 -2.026
O 3.344 1.363 1.284
O 0.043 1.363 13.408
O 2.942 -2.134 10.610
O 0.445 4.640 4.082
O 1.494 0.464 2.872
O 1.893 0.464 11.820
O 1.253 0.445 -0.815
O -1.253 3.832 5.712
O -0.464 1.893 7.769
O 1.363 -0.043 6.182
O 2.134 2.942 8.980
O 1.253 2.942 5.712
O 5.280 -0.464 2.872
O 1.494 2.923 2.026
O 2.024 3.430 -3.613
O 3.851 1.893 6.923
O 3.344 2.024 3.613
O 2.024 -0.043 8.510
O 0.445 5.521 0.815
O -0.445 2.134 4.082


(iii)
! PBE with a Hubbard U Mn4P3O12, relaxed; values from VASP
! - density (Mg/m³) = 3.199
&SYSTEM
  ibrav = 0, nat = 76, ntyp = 3
/
ATOMIC_SPECIES
Mn 54.94 Mn.upf
P 30.97 P.upf
O 16.00 O.upf
CELL_PARAMETERS angstrom
6.398 0.000 0.000
0.000 9.983 0.000
0.000 0.000 16.407
ATOMIC_POSITIONS angstrom
Mn 0.000 5.479 1.544
Mn 0.000 9.858 2.283
Mn 0.000 0.124 14.124
Mn 0.000 4.503 14.863
Mn 4.816 7.584 4.904
Mn 4.816 2.398 11.503
Mn 4.781 2.593 3.300
Mn 4.781 7.390 13.107
Mn 3.199 4.867 5.920
Mn 3.199 0.488 6.659
Mn 3.199 9.495 9.748
Mn 3.199 5.116 10.487
Mn 1.617 2.593 3.300
Mn 1.617 7.390 13.107
Mn 1.582 7.584 4.904
Mn 1.582 2.398 11.503
P 0.000 2.148 0.537
P 0.000 4.670 4.584
P 0.000 0.523 5.560
P 0.000 9.460 10.847
P 0.000 5.313 11.823
P 0.000 7.835 15.870
P 3.199 5.514 2.643
P 3.199 9.661 3.620
P 3.199 7.139 7.666
P 3.199 2.844 8.741
P 3.199 0.321 12.787
P 3.199 4.468 13.764
O 0.000 3.722 0.289
O 0.000 8.451 0.843
O 0.000 4.153 3.035
O 0.000 1.250 4.130
O 0.000 6.218 4.503
O 0.000 8.965 5.299
O 0.000 1.018 11.108
O 0.000 3.765 11.904
O 0.000 8.733 12.277
O 0.000 5.830 13.372
O 0.000 1.532 15.564
O 0.000 6.260 16.118
O 5.174 1.741 1.411
O 5.174 8.242 14.996
O 5.116 0.939 6.302
O 5.116 9.044 10.105
O 5.099 4.079 5.134
O 5.099 5.903 11.273
O 4.498 9.071 3.070
O 4.498 0.912 13.337
O 4.481 5.930 1.901
O 4.481 4.052 14.506
O 4.423 6.732 6.793
O 4.423 3.251 9.614
O 3.199 3.973 2.904
O 3.199 1.226 3.700
O 3.199 6.241 4.074
O 3.199 9.144 5.169
O 3.199 3.460 7.361
O 3.199 8.714 7.915
O 3.199 1.269 8.492
O 3.199 6.523 9.046
O 3.199 0.838 11.238
O 3.199 3.741 12.333
O 3.199 8.756 12.707
O 3.199 6.009 13.503
O 1.975 6.732 6.793
O 1.975 3.251 9.614
O 1.917 5.930 1.901
O 1.917 4.052 14.506
O 1.900 9.071 3.070
O 1.900 0.912 13.337
O 1.299 4.079 5.134
O 1.299 5.903 11.273
O 1.282 0.939 6.302
O 1.282 9.044 10.105
O 1.224 1.741 1.411
O 1.224 8.242 14.996


Going by the energies, (ii) is most stable and the next is 6 meV per atom up.